CuRh | PBE | relaxed

Summary:
The raw total energy comes out at -11.317 eV/f.u.

Cell lengths 4.5422, 4.5422, 4.5422 Å; angles 34.49, 34.49, 34.49 degrees
Element x y z (fractional)
1 Cu 0.0000 0.0000 0.0000
2 Rh 0.5000 0.5000 0.5000

Cu3Rh | PBE | relaxed

Summary:
The raw total energy comes out at -19.499 eV/f.u.

Cell lengths 4.4903, 4.4903, 4.4903 Å; angles 131.16, 131.16, 71.56 degrees
Element x y z (fractional)
1 Cu 0.0000 0.0000 0.0000
2 Cu 0.2500 0.7500 0.5000
3 Cu 0.7500 0.2500 0.5000
4 Rh 0.5000 0.5000 0.0000

CuSbRh2 | PBE | relaxed

Summary:
The raw total energy comes out at -24.078 eV/f.u.

Cell lengths 4.4039, 4.4039, 4.4039 Å; angles 60.00, 60.00, 60.00 degrees
Element x y z (fractional)
1 Cu 0.0000 0.0000 0.0000
2 Sb 0.5000 0.5000 0.5000
3 Rh 0.2500 0.2500 0.2500
4 Rh 0.7500 0.7500 0.7500

CuSiRh2 | PBE | relaxed

Summary:
The raw total energy comes out at -26.374 eV/f.u.

Cell lengths 4.1774, 4.1774, 4.1774 Å; angles 60.00, 60.00, 60.00 degrees
Element x y z (fractional)
1 Cu 0.0000 0.0000 0.0000
2 Si 0.5000 0.5000 0.5000
3 Rh 0.2500 0.2500 0.2500
4 Rh 0.7500 0.7500 0.7500

Tm2CuRh | PBE | relaxed

Summary:
The raw total energy comes out at -22.902 eV/f.u.

Cell lengths 4.8080, 4.8080, 4.8080 Å; angles 60.00, 60.00, 60.00 degrees
Element x y z (fractional)
1 Tm 0.2500 0.2500 0.2500
2 Tm 0.7500 0.7500 0.7500
3 Cu 0.0000 0.0000 0.0000
4 Rh 0.5000 0.5000 0.5000

VCuRh2 | PBE | relaxed

Summary:
The raw total energy comes out at -28.969 eV/f.u.

Cell lengths 4.2313, 4.2313, 4.2313 Å; angles 60.00, 60.00, 60.00 degrees
Element x y z (fractional)
1 V 0.0000 0.0000 0.0000
2 Cu 0.5000 0.5000 0.5000
3 Rh 0.2500 0.2500 0.2500
4 Rh 0.7500 0.7500 0.7500

Y2CuRh | PBE | relaxed

Summary:
The raw total energy comes out at -26.586 eV/f.u.

Cell lengths 4.8932, 4.8932, 4.8932 Å; angles 60.00, 60.00, 60.00 degrees
Element x y z (fractional)
1 Y 0.2500 0.2500 0.2500
2 Y 0.7500 0.7500 0.7500
3 Cu 0.0000 0.0000 0.0000
4 Rh 0.5000 0.5000 0.5000

Zn2CuRh | PBE | relaxed

Summary:
The raw total energy comes out at -15.089 eV/f.u.

Cell lengths 4.2434, 4.2434, 4.2434 Å; angles 60.00, 60.00, 60.00 degrees
Element x y z (fractional)
1 Zn 0.2500 0.2500 0.2500
2 Zn 0.7500 0.7500 0.7500
3 Cu 0.0000 0.0000 0.0000
4 Rh 0.5000 0.5000 0.5000

Sc2CuRu | PBE | relaxed

Summary:
The raw total energy comes out at -27.924 eV/f.u.

Cell lengths 4.5791, 4.5791, 4.5791 Å; angles 60.00, 60.00, 60.00 degrees
Element x y z (fractional)
1 Sc 0.2500 0.2500 0.2500
2 Sc 0.7500 0.7500 0.7500
3 Cu 0.0000 0.0000 0.0000
4 Ru 0.5000 0.5000 0.5000

Sm2CuRu | PBE | relaxed

Summary:
The raw total energy comes out at -23.743 eV/f.u.

Cell lengths 4.9445, 4.9445, 4.9445 Å; angles 60.00, 60.00, 60.00 degrees
Element x y z (fractional)
1 Sm 0.2500 0.2500 0.2500
2 Sm 0.7500 0.7500 0.7500
3 Cu 0.0000 0.0000 0.0000
4 Ru 0.5000 0.5000 0.5000

Cu7S4 | PBE | relaxed

Summary:
The raw total energy comes out at -46.891 eV/f.u.

Cell lengths 7.8293, 7.8731, 10.8893 Å; angles 90.00, 90.00, 90.00 degrees
Element x y z (fractional)
1 Cu 0.0180 0.2500 0.0915
2 Cu 0.0209 0.2500 0.3477
3 Cu 0.0807 0.7500 0.3296
4 Cu 0.1730 0.0232 0.9260
5 Cu 0.1730 0.4768 0.9260
6 Cu 0.2351 0.0854 0.6596
7 Cu 0.2351 0.4146 0.6596
8 Cu 0.2649 0.5854 0.1596
9 Cu 0.2649 0.9146 0.1596
10 Cu 0.3270 0.5232 0.4260
11 Cu 0.3270 0.9768 0.4260
12 Cu 0.4193 0.2500 0.8296
13 Cu 0.4791 0.7500 0.8477
14 Cu 0.4820 0.7500 0.5915
15 Cu 0.5180 0.2500 0.4085
16 Cu 0.5209 0.2500 0.1523
17 Cu 0.5807 0.7500 0.1704
18 Cu 0.6730 0.0232 0.5740
19 Cu 0.6730 0.4768 0.5740
20 Cu 0.7351 0.0854 0.8404
21 Cu 0.7351 0.4146 0.8404
22 Cu 0.7649 0.5854 0.3404
23 Cu 0.7649 0.9146 0.3404
24 Cu 0.8270 0.5232 0.0740
25 Cu 0.8270 0.9768 0.0740
26 Cu 0.9193 0.2500 0.6704
27 Cu 0.9791 0.7500 0.6523
28 Cu 0.9820 0.7500 0.9085
29 S 0.0013 0.0021 0.2377
30 S 0.0013 0.4979 0.2377
31 S 0.2120 0.7500 0.5157
32 S 0.2447 0.2500 0.4841
33 S 0.2553 0.7500 0.9841
34 S 0.2880 0.2500 0.0157
35 S 0.4987 0.5021 0.7377
36 S 0.4987 0.9979 0.7377
37 S 0.5013 0.0021 0.2623
38 S 0.5013 0.4979 0.2623
39 S 0.7120 0.7500 0.9843
40 S 0.7447 0.2500 0.0159
41 S 0.7553 0.7500 0.5159
42 S 0.7880 0.2500 0.4843
43 S 0.9987 0.5021 0.7623
44 S 0.9987 0.9979 0.7623

Cu18S11 | PBE | relaxed

Summary:
The raw total energy comes out at -121.523 eV/f.u.

Cell lengths 3.8395, 3.8528, 35.0944 Å; angles 87.25, 88.84, 60.42 degrees
Element x y z (fractional)
1 Cu 0.0000 0.0000 0.0000
2 Cu 0.0143 0.9727 0.2020
3 Cu 0.1289 0.7345 0.2684
4 Cu 0.1746 0.6535 0.5236
5 Cu 0.2118 0.5787 0.6730
6 Cu 0.2692 0.4612 0.8132
7 Cu 0.3258 0.3597 0.9516
8 Cu 0.3564 0.2893 0.0799
9 Cu 0.3777 0.1388 0.3478
10 Cu 0.5294 0.9596 0.6048
11 Cu 0.5976 0.8178 0.7671
12 Cu 0.6238 0.5003 0.3872
13 Cu 0.6398 0.7239 0.9077
14 Cu 0.6867 0.6326 0.1653
15 Cu 0.8716 0.2657 0.6383
16 Cu 0.8842 0.2238 0.7187
17 Cu 0.8882 0.3169 0.4518
18 Cu 0.9645 0.0839 0.8592
19 S 0.0210 0.9643 0.0631
20 S 0.0667 0.7986 0.3304
21 S 0.1945 0.6280 0.6004
22 S 0.2981 0.4124 0.8816
23 S 0.3549 0.2974 0.1462
24 S 0.4958 0.0475 0.4204
25 S 0.5577 0.8899 0.7019
26 S 0.6595 0.6868 0.9738
27 S 0.7236 0.5513 0.2359
28 S 0.8415 0.3221 0.5144
29 S 0.9331 0.1410 0.7913

CuS2 | PBE | relaxed

Summary:
The raw total energy comes out at -12.365 eV/f.u.

Cell lengths 3.7140, 3.7140, 4.9774 Å; angles 104.41, 104.41, 106.31 degrees
Element x y z (fractional)
1 Cu 0.0000 0.0000 0.0000
2 S 0.6456 0.2251 0.2804
3 S 0.7749 0.3544 0.7196

Cu11S20 | PBE | relaxed

Summary:
The raw total energy comes out at -122.511 eV/f.u.

Cell lengths 55.0758, 55.0758, 55.0758 Å; angles 3.85, 3.85, 3.85 degrees
Element x y z (fractional)
1 Cu 0.0000 0.0000 0.0000
2 Cu 0.0483 0.0483 0.0483
3 Cu 0.2467 0.2467 0.2467
4 Cu 0.2985 0.2985 0.2985
5 Cu 0.3512 0.3512 0.3512
6 Cu 0.5434 0.5434 0.5434
7 Cu 0.5975 0.5975 0.5975
8 Cu 0.6491 0.6491 0.6491
9 Cu 0.8463 0.8463 0.8463
10 Cu 0.8955 0.8955 0.8955
11 Cu 0.9480 0.9480 0.9480
12 S 0.0352 0.0352 0.0352
13 S 0.0795 0.0795 0.0795
14 S 0.1451 0.1451 0.1451
15 S 0.1834 0.1834 0.1834
16 S 0.2330 0.2330 0.2330
17 S 0.2850 0.2850 0.2850
18 S 0.3377 0.3377 0.3377
19 S 0.3857 0.3857 0.3857
20 S 0.4418 0.4418 0.4418
21 S 0.4861 0.4861 0.4861
22 S 0.5306 0.5306 0.5306
23 S 0.5839 0.5839 0.5839
24 S 0.6356 0.6356 0.6356
25 S 0.6902 0.6902 0.6902
26 S 0.7417 0.7417 0.7417
27 S 0.7797 0.7797 0.7797
28 S 0.8277 0.8277 0.8277
29 S 0.8817 0.8817 0.8817
30 S 0.9345 0.9345 0.9345
31 S 0.9864 0.9864 0.9864

CuS2 | PBE | relaxed

Summary:
The raw total energy comes out at -12.545 eV/f.u.

Cell lengths 5.5632, 5.6643, 7.0313 Å; angles 90.00, 90.00, 90.00 degrees
Element x y z (fractional)
1 Cu 0.0000 0.0000 0.0000
2 Cu 0.0000 0.5000 0.5000
3 Cu 0.5000 0.0000 0.5000
4 Cu 0.5000 0.5000 0.0000
5 S 0.1105 0.1124 0.4265
6 S 0.1105 0.3876 0.9265
7 S 0.3895 0.6124 0.4265
8 S 0.3895 0.8876 0.9265
9 S 0.6105 0.1124 0.0735
10 S 0.6105 0.3876 0.5735
11 S 0.8895 0.6124 0.0735
12 S 0.8895 0.8876 0.5735

CuS2 | PBE | relaxed

Summary:
The raw total energy comes out at -12.664 eV/f.u.

Cell lengths 4.7230, 5.8256, 3.6503 Å; angles 90.00, 90.00, 90.00 degrees
Element x y z (fractional)
1 Cu 0.0000 0.0000 0.0000
2 Cu 0.5000 0.5000 0.5000
3 S 0.1733 0.3956 0.0000
4 S 0.3267 0.8956 0.5000
5 S 0.6733 0.1044 0.5000
6 S 0.8267 0.6044 0.0000

CuS2 | PBE | relaxed

Summary:
The raw total energy comes out at -11.054 eV/f.u.

Cell lengths 3.5515, 3.5515, 4.1656 Å; angles 90.00, 90.00, 90.00 degrees
Element x y z (fractional)
1 Cu 0.0000 0.0000 0.0000
2 S 0.0000 0.5000 0.3396
3 S 0.5000 0.0000 0.6604

CuS2 | PBE | relaxed

Summary:
The raw total energy comes out at -12.662 eV/f.u.

Cell lengths 5.7995, 5.7995, 5.7995 Å; angles 90.00, 90.00, 90.00 degrees
Element x y z (fractional)
1 Cu 0.0000 0.0000 0.0000
2 Cu 0.0000 0.5000 0.5000
3 Cu 0.5000 0.0000 0.5000
4 Cu 0.5000 0.5000 0.0000
5 S 0.1012 0.6012 0.8988
6 S 0.1012 0.8988 0.3988
7 S 0.3988 0.1012 0.8988
8 S 0.3988 0.3988 0.3988
9 S 0.6012 0.6012 0.6012
10 S 0.6012 0.8988 0.1012
11 S 0.8988 0.1012 0.6012
12 S 0.8988 0.3988 0.1012

Cu3SbS4 | PBE | relaxed

Summary:
The raw total energy comes out at -30.901 eV/f.u.

Cell lengths 8.6341, 8.6341, 8.6341 Å; angles 60.00, 60.00, 60.00 degrees
Element x y z (fractional)
1 Cu 0.0000 0.0000 0.5000
2 Cu 0.0000 0.5000 0.0000
3 Cu 0.0000 0.5000 0.5000
4 Cu 0.5000 0.0000 0.0000
5 Cu 0.5000 0.0000 0.5000
6 Cu 0.5000 0.5000 0.0000
7 Sb 0.2500 0.2500 0.2500
8 Sb 0.7500 0.7500 0.7500
9 S 0.1377 0.1377 0.1377
10 S 0.1377 0.1377 0.5870
11 S 0.1377 0.5870 0.1377
12 S 0.4130 0.8623 0.8623
13 S 0.5870 0.1377 0.1377
14 S 0.8623 0.4130 0.8623
15 S 0.8623 0.8623 0.4130
16 S 0.8623 0.8623 0.8623

Cu3SbS4 | PBE | relaxed

Summary:
The raw total energy comes out at -34.692 eV/f.u.

Cell lengths 7.6136, 6.5932, 6.3042 Å; angles 90.00, 90.00, 90.00 degrees
Element x y z (fractional)
1 Cu 0.0000 0.1664 0.0000
2 Cu 0.2490 0.6688 0.0011
3 Cu 0.2510 0.3312 0.5011
4 Cu 0.5000 0.8336 0.5000
5 Cu 0.7490 0.3312 0.5011
6 Cu 0.7510 0.6688 0.0011
7 Sb 0.0000 0.8327 0.4985
8 Sb 0.5000 0.1673 0.9985
9 S 0.0000 0.1825 0.3651
10 S 0.0000 0.8328 0.8908
11 S 0.2366 0.3441 0.8655
12 S 0.2634 0.6559 0.3655
13 S 0.5000 0.1672 0.3908
14 S 0.5000 0.8175 0.8651
15 S 0.7366 0.6559 0.3655
16 S 0.7634 0.3441 0.8655

Cu3SbS4 | PBE | relaxed

Summary:
The raw total energy comes out at -34.766 eV/f.u.

Cell lengths 6.6270, 6.6270, 6.6270 Å; angles 131.76, 131.76, 70.61 degrees
Element x y z (fractional)
1 Cu 0.0000 0.0000 0.0000
2 Cu 0.2500 0.7500 0.5000
3 Cu 0.7500 0.2500 0.5000
4 Sb 0.5000 0.5000 0.0000
5 S 0.1045 0.1045 0.4736
6 S 0.3691 0.8955 0.0000
7 S 0.6309 0.6309 0.5264
8 S 0.8955 0.3691 0.0000

ScCu3S3 | PBE | relaxed

Summary:
The raw total energy comes out at -36.539 eV/f.u.

Cell lengths 7.2233, 7.2233, 7.2233 Å; angles 54.09, 54.09, 54.09 degrees
Element x y z (fractional)
1 Sc 0.1666 0.1666 0.1666
2 Sc 0.8334 0.8334 0.8334
3 Cu 0.0420 0.3770 0.7124
4 Cu 0.2876 0.9580 0.6230
5 Cu 0.3770 0.7124 0.0420
6 Cu 0.6230 0.2876 0.9580
7 Cu 0.7124 0.0420 0.3770
8 Cu 0.9580 0.6230 0.2876
9 S 0.0832 0.7570 0.4220
10 S 0.2430 0.5780 0.9168
11 S 0.4220 0.0832 0.7570
12 S 0.5780 0.9168 0.2430
13 S 0.7570 0.4220 0.0832
14 S 0.9168 0.2430 0.5780